No. 1
The following is a DFT calculation (PBE-GGA) of an optimized crystal structure of Sr2Mg3Al.

Output
Calculated formation energy: -114 meV per atom
Space-group type: P6_3/mmc, No. 194

POSCAR file:
```
Sr2Mg3Al
1.0
3.118 -5.401 0.000
3.118 5.401 0.000
0.000 0.000 20.815
Sr Mg Al
8 12 4
direct
0.333 0.667 0.655 Sr
0.667 0.333 0.345 Sr
0.667 0.333 0.155 Sr
0.333 0.667 0.845 Sr
0.000 0.000 0.097 Sr
0.000 0.000 0.903 Sr
0.000 0.000 0.597 Sr
0.000 0.000 0.403 Sr
0.168 0.335 0.250 Mg
0.832 0.665 0.750 Mg
0.665 0.832 0.250 Mg
0.335 0.168 0.750 Mg
0.168 0.832 0.250 Mg
0.832 0.168 0.750 Mg
0.500 0.000 0.000 Mg
0.000 0.500 0.000 Mg
0.500 0.000 0.500 Mg
0.500 0.500 0.000 Mg
0.000 0.500 0.500 Mg
0.500 0.500 0.500 Mg
0.333 0.667 0.131 Al
0.667 0.333 0.869 Al
0.667 0.333 0.631 Al
0.333 0.667 0.369 Al
```

---

No. 2
The following is a DFT calculation (PBE-GGA) of an optimized crystal structure of SrMg16Al12.

Output
Calculated formation energy: -35 meV per atom
Space-group type: R3m, No. 160
Excess energy over the best structure of this formula in the dataset: 5 meV per atom

POSCAR file:
```
SrMg16Al12
1.0
7.309 -4.220 2.984
0.118 8.780 3.176
-7.544 -4.492 3.176
Sr Mg Al
1 16 12
direct
0.375 0.000 0.000 Sr
0.996 0.341 0.000 Mg
0.617 0.334 0.000 Mg
0.314 0.601 0.000 Mg
0.992 0.000 0.000 Mg
0.687 0.686 0.292 Mg
0.001 0.606 0.314 Mg
0.617 0.000 0.334 Mg
0.996 0.000 0.341 Mg
0.395 0.708 0.394 Mg
0.713 0.399 0.399 Mg
0.314 0.000 0.601 Mg
0.001 0.314 0.606 Mg
0.655 0.659 0.659 Mg
0.283 0.666 0.666 Mg
0.687 0.292 0.686 Mg
0.395 0.394 0.708 Mg
0.634 0.818 0.000 Al
0.813 0.639 0.000 Al
0.362 0.366 0.180 Al
0.816 0.182 0.182 Al
0.181 0.820 0.186 Al
0.174 0.361 0.361 Al
0.362 0.180 0.366 Al
0.996 0.814 0.634 Al
0.813 0.000 0.639 Al
0.996 0.634 0.814 Al
0.634 0.000 0.818 Al
0.181 0.186 0.820 Al
```

---

No. 3
The following is a DFT calculation (PBE-GGA) of an optimized crystal structure of SrMg6Al.

Output
Calculated formation energy: 57 meV per atom
Space-group type: Amm2, No. 38
Excess energy over the best structure of this formula in the dataset: 0 meV per atom

POSCAR file:
```
SrMg6Al
1.0
3.279 -6.007 0.000
3.279 6.007 0.000
0.000 0.000 5.172
Sr Mg Al
1 6 1
direct
0.330 0.670 0.500 Sr
0.325 0.165 0.500 Mg
0.835 0.675 0.500 Mg
0.148 0.311 0.000 Mg
0.689 0.852 0.000 Mg
0.673 0.327 0.000 Mg
0.157 0.843 0.000 Mg
0.842 0.158 0.500 Al
```

---

Values of total magnetic moment, in order: 0.018; 0.003; 0.021, all in μB/cell.